A plane-wave DFT calculation with PBE was carried out for a relaxed structure of Na14Al4Zn4Si5S7O48.

Lattice parameters (Å, degrees): 8.887 15.555 21.765 90.40 90.06 90.01
Fractional coordinates of all 246 atoms:
Na 0.000 0.000 0.000
Na 0.003 0.971 0.326
Na 0.012 0.672 0.666
Na 0.013 0.305 0.678
Na 0.021 0.643 0.001
Na 0.133 0.804 0.167
Na 0.137 0.134 0.499
Na 0.141 0.170 0.161
Na 0.149 0.473 0.832
Na 0.153 0.508 0.502
Na 0.173 0.156 0.834
Na 0.188 0.826 0.490
Na 0.212 0.491 0.164
Na 0.314 0.333 0.249
Na 0.319 0.986 0.918
Na 0.320 0.653 0.079
Na 0.324 0.331 0.753
Na 0.334 0.979 0.412
Na 0.336 0.647 0.580
Na 0.436 0.491 0.668
Na 0.459 0.827 0.994
Na 0.473 0.149 0.332
Na 0.495 0.479 0.324
Na 0.501 0.509 0.001
Na 0.512 0.808 0.668
Na 0.515 0.170 0.666
Na 0.633 0.672 0.160
Na 0.637 0.308 0.165
Na 0.648 0.005 0.501
Na 0.654 0.977 0.830
Na 0.676 0.652 0.839
Na 0.685 0.328 0.495
Na 0.712 0.989 0.164
Na 0.814 0.144 0.078
Na 0.818 0.481 0.915
Na 0.822 0.144 0.584
Na 0.825 0.493 0.414
Na 0.826 0.831 0.249
Na 0.834 0.833 0.753
Na 0.939 0.990 0.667
Na 0.962 0.326 0.990
Na 0.978 0.657 0.331
Al 0.314 0.333 0.895
Al 0.322 0.649 0.426
Al 0.322 0.968 0.272
Al 0.322 0.984 0.768
Al 0.322 0.988 0.059
Al 0.331 0.335 0.400
Al 0.816 0.498 0.564
Al 0.831 0.473 0.775
Al 0.833 0.149 0.926
Al 0.834 0.487 0.265
Al 0.834 0.834 0.394
Al 0.836 0.843 0.906
Zn 0.311 0.641 0.737
Zn 0.317 0.343 0.597
Zn 0.319 0.646 0.240
Zn 0.325 0.649 0.932
Zn 0.325 0.986 0.565
Zn 0.341 0.336 0.097
Zn 0.810 0.838 0.597
Zn 0.820 0.139 0.425
Zn 0.824 0.489 0.064
Zn 0.830 0.146 0.742
Zn 0.837 0.141 0.234
Zn 0.853 0.845 0.090
Si 0.048 0.991 0.166
Si 0.101 0.490 0.665
Si 0.127 0.821 0.001
Si 0.168 0.502 0.333
Si 0.171 0.470 0.001
Si 0.179 0.798 0.334
Si 0.480 0.479 0.497
Si 0.483 0.503 0.832
Si 0.539 0.492 0.167
Si 0.611 0.992 0.667
Si 0.663 0.001 0.331
Si 0.671 0.981 0.998
Si 0.972 0.299 0.834
Si 0.977 0.972 0.500
Si 0.982 0.002 0.831
S 0.017 0.660 0.831
S 0.033 0.323 0.498
S 0.131 0.163 0.334
S 0.181 0.177 0.999
S 0.181 0.841 0.667
S 0.182 0.136 0.665
S 0.466 0.133 0.165
S 0.467 0.185 0.497
S 0.469 0.846 0.163
S 0.472 0.807 0.830
S 0.528 0.158 0.833
S 0.536 0.815 0.496
S 0.614 0.315 0.995
S 0.622 0.659 0.333
S 0.677 0.306 0.333
S 0.682 0.635 0.665
S 0.683 0.348 0.663
S 0.686 0.683 0.998
S 0.968 0.341 0.168
S 0.968 0.634 0.167
S 0.969 0.676 0.500
O 0.003 0.841 0.947
O 0.011 0.169 0.995
O 0.016 0.829 0.667
O 0.017 0.149 0.668
O 0.035 0.151 0.389
O 0.038 0.793 0.064
O 0.042 0.180 0.278
O 0.106 0.677 0.774
O 0.114 0.645 0.885
O 0.116 0.305 0.556
O 0.133 0.328 0.168
O 0.133 0.646 0.170
O 0.138 0.667 0.497
O 0.142 0.334 0.447
O 0.155 0.983 0.228
O 0.156 0.004 0.106
O 0.159 0.307 0.841
O 0.164 0.979 0.501
O 0.168 0.999 0.822
O 0.195 0.569 0.391
O 0.198 0.742 0.272
O 0.207 0.228 0.056
O 0.208 0.087 0.608
O 0.208 0.403 0.666
O 0.208 0.405 0.943
O 0.208 0.577 0.664
O 0.213 0.902 0.719
O 0.223 0.083 0.329
O 0.224 0.912 0.006
O 0.238 0.237 0.343
O 0.239 0.877 0.609
O 0.240 0.432 0.064
O 0.241 0.741 0.989
O 0.242 0.090 0.720
O 0.243 0.219 0.944
O 0.243 0.898 0.330
O 0.245 0.089 0.002
O 0.248 0.564 0.995
O 0.249 0.407 0.346
O 0.252 0.749 0.394
O 0.257 0.534 0.272
O 0.257 0.757 0.674
O 0.260 0.221 0.665
O 0.392 0.219 0.160
O 0.393 0.537 0.770
O 0.395 0.446 0.559
O 0.395 0.762 0.166
O 0.398 0.572 0.484
O 0.401 0.097 0.495
O 0.403 0.230 0.443
O 0.404 0.408 0.843
O 0.409 0.094 0.222
O 0.409 0.769 0.885
O 0.410 0.891 0.108
O 0.410 0.897 0.825
O 0.425 0.231 0.845
O 0.430 0.232 0.555
O 0.432 0.579 0.171
O 0.433 0.077 0.829
O 0.433 0.740 0.489
O 0.438 0.077 0.110
O 0.438 0.402 0.169
O 0.439 0.901 0.219
O 0.442 0.754 0.773
O 0.445 0.896 0.495
O 0.455 0.408 0.441
O 0.468 0.570 0.890
O 0.481 0.998 0.319
O 0.487 0.985 0.007
O 0.494 0.982 0.725
O 0.501 0.323 0.945
O 0.505 0.311 0.338
O 0.513 0.642 0.384
O 0.516 0.337 0.661
O 0.516 0.648 0.667
O 0.519 0.005 0.602
O 0.520 0.673 0.995
O 0.539 0.303 0.056
O 0.545 0.675 0.275
O 0.605 0.175 0.774
O 0.612 0.803 0.556
O 0.633 0.148 0.167
O 0.633 0.504 0.103
O 0.634 0.835 0.162
O 0.635 0.180 0.495
O 0.637 0.142 0.883
O 0.641 0.814 0.834
O 0.648 0.823 0.446
O 0.655 0.481 0.227
O 0.666 0.499 0.819
O 0.667 0.481 0.506
O 0.668 0.065 0.392
O 0.695 0.911 0.940
O 0.704 0.253 0.278
O 0.704 0.396 0.995
O 0.708 0.579 0.609
O 0.712 0.902 0.669
O 0.714 0.402 0.718
O 0.718 0.079 0.671
O 0.718 0.241 0.988
O 0.718 0.579 0.330
O 0.718 0.731 0.055
O 0.725 0.732 0.346
O 0.737 0.395 0.328
O 0.740 0.392 0.606
O 0.741 0.267 0.389
O 0.742 0.594 0.720
O 0.744 0.908 0.342
O 0.745 0.730 0.942
O 0.755 0.263 0.664
O 0.755 0.947 0.060
O 0.756 0.596 0.995
O 0.757 0.073 0.983
O 0.758 0.041 0.274
O 0.758 0.720 0.659
O 0.887 0.718 0.169
O 0.890 0.257 0.176
O 0.897 0.909 0.843
O 0.898 0.034 0.769
O 0.898 0.249 0.893
O 0.903 0.069 0.494
O 0.904 0.586 0.503
O 0.905 0.937 0.564
O 0.906 0.717 0.445
O 0.909 0.399 0.830
O 0.910 0.377 0.110
O 0.911 0.586 0.223
O 0.911 0.733 0.839
O 0.925 0.579 0.824
O 0.929 0.250 0.489
O 0.937 0.907 0.442
O 0.938 0.402 0.221
O 0.939 0.726 0.557
O 0.939 0.906 0.168
O 0.941 0.079 0.165
O 0.941 0.585 0.110
O 0.943 0.404 0.501
O 0.950 0.244 0.771
O 0.956 0.071 0.888
O 0.982 0.498 0.323
O 0.985 0.478 0.001
O 0.992 0.481 0.725
O 0.992 0.808 0.342
O 0.994 0.500 0.603

## Properties
SG ... P1 (1)
Energy with MP2020 corrections ... -0.2367 hartree per atom

=====

A plane-wave DFT calculation with PBE was carried out for a relaxed structure of NdMgHg2.

Lattice parameters (Å, degrees): 5.193 5.193 5.193 60.00 60.00 60.00
Fractional coordinates of all 4 atoms:
Nd 0.000 0.000 0.000
Mg 0.500 0.500 0.500
Hg 0.250 0.250 0.250
Hg 0.750 0.750 0.750

## Properties
E_tot ... -2.215 eV per atom
SG ... Fm-3m (225)

=====

A plane-wave DFT calculation with PBE was carried out for a relaxed structure of AlCrN2.

Lattice parameters (Å, degrees): 5.445 6.525 4.981 90.00 90.00 90.00
Fractional coordinates of all 16 atoms:
Al 0.080 0.125 0.000
Al 0.420 0.625 0.500
Al 0.580 0.375 0.000
Al 0.920 0.875 0.500
Cr 0.075 0.625 0.994
Cr 0.425 0.125 0.494
Cr 0.575 0.875 0.994
Cr 0.925 0.375 0.494
N 0.078 0.116 0.383
N 0.087 0.635 0.390
N 0.413 0.135 0.890
N 0.422 0.616 0.883
N 0.578 0.384 0.383
N 0.587 0.865 0.390
N 0.913 0.365 0.890
N 0.922 0.884 0.883

## Properties
SG ... Pna2_1 (33)
Energy with MP2020 corrections ... -0.3090 hartree per atom

=====

A plane-wave DFT calculation with PBE was carried out for a relaxed structure of GeH12N4F8.

Lattice parameters (Å, degrees): 6.222 13.720 11.837 90.00 90.00 90.00
Fractional coordinates of all 100 atoms:
Ge 0.250 0.250 0.153
Ge 0.250 0.250 0.653
Ge 0.750 0.750 0.347
Ge 0.750 0.750 0.847
H 0.030 0.569 0.419
H 0.030 0.931 0.919
H 0.081 0.645 0.740
H 0.081 0.855 0.240
H 0.082 0.027 0.336
H 0.082 0.473 0.836
H 0.088 0.148 0.367
H 0.088 0.352 0.867
H 0.120 0.580 0.090
H 0.120 0.920 0.590
H 0.126 0.065 0.470
H 0.126 0.435 0.970
H 0.374 0.065 0.970
H 0.374 0.435 0.470
H 0.380 0.580 0.590
H 0.380 0.920 0.090
H 0.412 0.148 0.867
H 0.412 0.352 0.367
H 0.418 0.027 0.836
H 0.418 0.473 0.336
H 0.419 0.645 0.240
H 0.419 0.855 0.740
H 0.470 0.569 0.919
H 0.470 0.931 0.419
H 0.530 0.069 0.581
H 0.530 0.431 0.081
H 0.581 0.145 0.260
H 0.581 0.355 0.760
H 0.582 0.527 0.664
H 0.582 0.973 0.164
H 0.588 0.648 0.633
H 0.588 0.852 0.133
H 0.620 0.080 0.910
H 0.620 0.420 0.410
H 0.626 0.565 0.530
H 0.626 0.935 0.030
H 0.874 0.565 0.030
H 0.874 0.935 0.530
H 0.880 0.080 0.410
H 0.880 0.420 0.910
H 0.912 0.648 0.133
H 0.912 0.852 0.633
H 0.918 0.527 0.164
H 0.918 0.973 0.664
H 0.919 0.145 0.760
H 0.919 0.355 0.260
H 0.970 0.069 0.081
H 0.970 0.431 0.581
N 0.044 0.080 0.396
N 0.044 0.420 0.896
N 0.080 0.524 0.484
N 0.080 0.976 0.984
N 0.420 0.524 0.984
N 0.420 0.976 0.484
N 0.456 0.080 0.896
N 0.456 0.420 0.396
N 0.544 0.580 0.604
N 0.544 0.920 0.104
N 0.580 0.024 0.516
N 0.580 0.476 0.016
N 0.920 0.024 0.016
N 0.920 0.476 0.516
N 0.956 0.580 0.104
N 0.956 0.920 0.604
F 0.040 0.238 0.551
F 0.040 0.262 0.051
F 0.048 0.234 0.773
F 0.048 0.266 0.273
F 0.162 0.583 0.746
F 0.162 0.917 0.246
F 0.211 0.119 0.162
F 0.211 0.381 0.662
F 0.289 0.119 0.662
F 0.289 0.381 0.162
F 0.338 0.583 0.246
F 0.338 0.917 0.746
F 0.452 0.234 0.273
F 0.452 0.266 0.773
F 0.460 0.238 0.051
F 0.460 0.262 0.551
F 0.540 0.738 0.449
F 0.540 0.762 0.949
F 0.548 0.734 0.227
F 0.548 0.766 0.727
F 0.662 0.083 0.254
F 0.662 0.417 0.754
F 0.711 0.619 0.838
F 0.711 0.881 0.338
F 0.789 0.619 0.338
F 0.789 0.881 0.838
F 0.838 0.083 0.754
F 0.838 0.417 0.254
F 0.952 0.734 0.727
F 0.952 0.766 0.227
F 0.960 0.738 0.949
F 0.960 0.762 0.449

## Properties
SG ... Pccn (56)
Energy with MP2020 corrections ... -0.1856 hartree per atom

=====

A plane-wave DFT calculation with PBE was carried out for a relaxed structure of BaTiO3.

Lattice parameters (Å, degrees): 3.784 5.556 5.556 107.26 90.00 90.00
Fractional coordinates of all 5 atoms:
Ba 0.000 0.000 0.000
Ti 0.500 0.462 0.462
O 0.500 0.145 0.455
O 0.500 0.455 0.145
O 0.500 0.738 0.738

## Properties
SG ... Amm2 (38)
Energy with MP2020 corrections ... -0.2833 hartree per atom

=====

A plane-wave DFT calculation with PBE was carried out for a relaxed structure of LaBe13.

Lattice parameters (Å, degrees): 7.348 7.348 7.348 60.00 60.00 60.00
Fractional coordinates of all 28 atoms:
La 0.250 0.250 0.250
La 0.750 0.750 0.750
Be 0.000 0.000 0.000
Be 0.064 0.287 0.713
Be 0.064 0.713 0.936
Be 0.064 0.936 0.287
Be 0.213 0.436 0.787
Be 0.213 0.564 0.436
Be 0.213 0.787 0.564
Be 0.287 0.064 0.936
Be 0.287 0.713 0.064
Be 0.287 0.936 0.713
Be 0.436 0.213 0.564
Be 0.436 0.564 0.787
Be 0.436 0.787 0.213
Be 0.500 0.500 0.500
Be 0.564 0.213 0.787
Be 0.564 0.436 0.213
Be 0.564 0.787 0.436
Be 0.713 0.064 0.287
Be 0.713 0.287 0.936
Be 0.713 0.936 0.064
Be 0.787 0.213 0.436
Be 0.787 0.436 0.564
Be 0.787 0.564 0.213
Be 0.936 0.064 0.713
Be 0.936 0.287 0.064
Be 0.936 0.713 0.287

## Properties
E_tot ... -3.961 eV per atom
SG ... Fm-3c (226)